1.
{
  "formula": "K3ZrC3O13",
  "functional": "GGA-PBE",
  "state": "optimized geometry",
  "lattice_angstrom": [[11.5193, 0.0000, 0.0000], [0.0000, 6.8933, 0.0000], [0.0000, 5.5531, 16.6130]],
  "species": ["O", "O", "O", "O", "O", "O", "O", "O", "O", "O", "O", "O", "O", "O", "O", "O", "O", "O", "O", "O", "O", "O", "O", "O", "O", "O", "O", "O", "O", "O", "O", "O", "O", "O", "O", "O", "O", "O", "O", "O", "O", "O", "O", "O", "O", "O", "O", "O", "O", "O", "O", "O", "Zr", "Zr", "Zr", "Zr", "C", "C", "C", "C", "C", "C", "C", "C", "C", "C", "C", "C", "K", "K", "K", "K", "K", "K", "K", "K", "K", "K", "K", "K"],
  "fractional_positions": [[0.0363, 0.2054, 0.2799], [0.6933, 0.2290, 0.5452], [0.1121, 0.2335, 0.1571], [0.7005, 0.6303, 0.9556], [0.1895, 0.5564, 0.6262], [0.0718, 0.5159, 0.1863], [0.3879, 0.2335, 0.6571], [0.1342, 0.8639, 0.0580], [0.5718, 0.4841, 0.3137], [0.6895, 0.4436, 0.8738], [0.3105, 0.5564, 0.1262], [0.5363, 0.7946, 0.2201], [0.3159, 0.6047, 0.2976], [0.4553, 0.3347, 0.1276], [0.9648, 0.5720, 0.0166], [0.5352, 0.5720, 0.5166], [0.4637, 0.2054, 0.7799], [0.4648, 0.4280, 0.4834], [0.3201, 0.1101, 0.4392], [0.0447, 0.3347, 0.6276], [0.3658, 0.8639, 0.5580], [0.8201, 0.8899, 0.0608], [0.3067, 0.7710, 0.4548], [0.4960, 0.1912, 0.0290], [0.7288, 0.2284, 0.7057], [0.2288, 0.7716, 0.7943], [0.8879, 0.7665, 0.8429], [0.8105, 0.4436, 0.3738], [0.9553, 0.6653, 0.3724], [0.0040, 0.1912, 0.5290], [0.6799, 0.8899, 0.5608], [0.8067, 0.2290, 0.0452], [0.4282, 0.5159, 0.6863], [0.6841, 0.3953, 0.7024], [0.5040, 0.8088, 0.9710], [0.7995, 0.6303, 0.4556], [0.7712, 0.2284, 0.2057], [0.2712, 0.7716, 0.2943], [0.1933, 0.7710, 0.9548], [0.8159, 0.3953, 0.2024], [0.8658, 0.1361, 0.9420], [0.1799, 0.1101, 0.9392], [0.5447, 0.6653, 0.8724], [0.9282, 0.4841, 0.8137], [0.1841, 0.6047, 0.7976], [0.2005, 0.3697, 0.5444], [0.6342, 0.1361, 0.4420], [0.9637, 0.7946, 0.7201], [0.6121, 0.7665, 0.3429], [0.9960, 0.8088, 0.4710], [0.2995, 0.3697, 0.0444], [0.0352, 0.4280, 0.9834], [0.3615, 0.5385, 0.5652], [0.1385, 0.5385, 0.0652], [0.6385, 0.4615, 0.4348], [0.8615, 0.4615, 0.9348], [0.3303, 0.9269, 0.4812], [0.6697, 0.0731, 0.5188], [0.0716, 0.3123, 0.2119], [0.9284, 0.6877, 0.7881], [0.3594, 0.4204, 0.0992], [0.5716, 0.6877, 0.2881], [0.1697, 0.9269, 0.9812], [0.4284, 0.3123, 0.7119], [0.8303, 0.0731, 0.0188], [0.8594, 0.5796, 0.4008], [0.6406, 0.5796, 0.9008], [0.1406, 0.4204, 0.5992], [0.3696, 0.3682, 0.8947], [0.8696, 0.6318, 0.6053], [0.4819, 0.1198, 0.3190], [0.6596, 0.0525, 0.8736], [0.6304, 0.6318, 0.1053], [0.9819, 0.8802, 0.1810], [0.8404, 0.0525, 0.3736], [0.1304, 0.3682, 0.3947], [0.5181, 0.8802, 0.6810], [0.1596, 0.9475, 0.6264], [0.3404, 0.9475, 0.1264], [0.0181, 0.1198, 0.8190]],
  "magmom_total_mub_per_cell": 0.178,
  "energy_mp2020_ev_per_atom": -6.72,
  "energy_ev_per_cell": -528.899
}

2.
{
  "formula": "K3ZrC7O16",
  "functional": "GGA-PBE",
  "state": "optimized geometry",
  "lattice_angstrom": [[-13.4418, -1.2601, 2.2657], [1.7165, -5.5210, 7.1127], [1.9079, 5.6088, 14.4387]],
  "species": ["O", "O", "O", "O", "O", "O", "O", "O", "O", "O", "O", "O", "O", "O", "O", "O", "O", "O", "O", "O", "O", "O", "O", "O", "O", "O", "O", "O", "O", "O", "O", "O", "O", "O", "O", "O", "O", "O", "O", "O", "O", "O", "O", "O", "O", "O", "O", "O", "O", "O", "O", "O", "O", "O", "O", "O", "O", "O", "O", "O", "O", "O", "O", "O", "C", "C", "C", "C", "C", "C", "C", "C", "C", "C", "C", "C", "C", "C", "C", "C", "C", "C", "C", "C", "C", "C", "C", "C", "C", "C", "C", "C", "Zr", "Zr", "Zr", "Zr", "K", "K", "K", "K", "K", "K", "K", "K", "K", "K", "K", "K"],
  "fractional_positions": [[0.1123, 0.4411, 0.8304], [0.5417, 0.7248, 0.8675], [0.5919, 0.1450, 0.9822], [0.8129, 0.9711, 0.0586], [0.5281, 0.6412, 0.3114], [0.4245, 0.2480, 0.4938], [0.4358, 0.3950, 0.8473], [0.0642, 0.3950, 0.3473], [0.8936, 0.5076, 0.3570], [0.6064, 0.5076, 0.8570], [0.3787, 0.8038, 0.6650], [0.9358, 0.6050, 0.6527], [0.1213, 0.8038, 0.1650], [0.9719, 0.6412, 0.8114], [0.7223, 0.0325, 0.2474], [0.3588, 0.8425, 0.2389], [0.2665, 0.6867, 0.1651], [0.9691, 0.9190, 0.6260], [0.2777, 0.9675, 0.7526], [0.0755, 0.2480, 0.9938], [0.3129, 0.0289, 0.4414], [0.7665, 0.8988, 0.0233], [0.4691, 0.0810, 0.8740], [0.8585, 0.4507, 0.5991], [0.0281, 0.3588, 0.1886], [0.6415, 0.4507, 0.0991], [0.2335, 0.1012, 0.9767], [0.8877, 0.5589, 0.1696], [0.5309, 0.9190, 0.1260], [0.3877, 0.4411, 0.3304], [0.9245, 0.7520, 0.0062], [0.5969, 0.4482, 0.4592], [0.0919, 0.8550, 0.5178], [0.3585, 0.5493, 0.9009], [0.7335, 0.3133, 0.8349], [0.8787, 0.1962, 0.8350], [0.4081, 0.8550, 0.0178], [0.6412, 0.1575, 0.7611], [0.4719, 0.3588, 0.6886], [0.1064, 0.4924, 0.6430], [0.9081, 0.1450, 0.4822], [0.7777, 0.0325, 0.7474], [0.0969, 0.5518, 0.0408], [0.6213, 0.1962, 0.3350], [0.6123, 0.5589, 0.6696], [0.7665, 0.3133, 0.3349], [0.6871, 0.9711, 0.5586], [0.9031, 0.4482, 0.9592], [0.5755, 0.7520, 0.5062], [0.1412, 0.8425, 0.7389], [0.4583, 0.2752, 0.1325], [0.9583, 0.7248, 0.3675], [0.0417, 0.2752, 0.6325], [0.2223, 0.9675, 0.2526], [0.2335, 0.6867, 0.6651], [0.8588, 0.1575, 0.2611], [0.2665, 0.1012, 0.4767], [0.7335, 0.8988, 0.5233], [0.0309, 0.0810, 0.3740], [0.4031, 0.5518, 0.5408], [0.1415, 0.5493, 0.4009], [0.1871, 0.0289, 0.9414], [0.5642, 0.6050, 0.1527], [0.3936, 0.4924, 0.1430], [0.0595, 0.3801, 0.9125], [0.4649, 0.9816, 0.9685], [0.5595, 0.6199, 0.5875], [0.0351, 0.9816, 0.4685], [0.9405, 0.6199, 0.0875], [0.2903, 0.7838, 0.6821], [0.0303, 0.5052, 0.1031], [0.9697, 0.4948, 0.8969], [0.5303, 0.4948, 0.3969], [0.4327, 0.5077, 0.8746], [0.2657, 0.8762, 0.2277], [0.2343, 0.8762, 0.7277], [0.7097, 0.2162, 0.3179], [0.9661, 0.5913, 0.3670], [0.5351, 0.0184, 0.0315], [0.2097, 0.7838, 0.1821], [0.7343, 0.1238, 0.7723], [0.4661, 0.4087, 0.1330], [0.9327, 0.4923, 0.6254], [0.7657, 0.1238, 0.2723], [0.0673, 0.5077, 0.3746], [0.5673, 0.4923, 0.1254], [0.5339, 0.5913, 0.8670], [0.7903, 0.2162, 0.8179], [0.9649, 0.0184, 0.5315], [0.0339, 0.4087, 0.6330], [0.4697, 0.5052, 0.6031], [0.4405, 0.3801, 0.4125], [0.0732, 0.6767, 0.6912], [0.4268, 0.6767, 0.1912], [0.9268, 0.3233, 0.3088], [0.5732, 0.3233, 0.8088], [0.9790, 0.9647, 0.8057], [0.4790, 0.0353, 0.6943], [0.7772, 0.6814, 0.7484], [0.2637, 0.7050, 0.9707], [0.7228, 0.6814, 0.2484], [0.5210, 0.9647, 0.3057], [0.2228, 0.3186, 0.2516], [0.7363, 0.2950, 0.0293], [0.2772, 0.3186, 0.7516], [0.7637, 0.2950, 0.5293], [0.2363, 0.7050, 0.4707], [0.0210, 0.0353, 0.1943]],
  "magmom_total_mub_per_cell": 7.798,
  "energy_mp2020_ev_per_atom": -7.35,
  "energy_ev_per_cell": -783.605
}

3.
{
  "formula": "K2PdC2",
  "functional": "GGA-PBE",
  "state": "optimized geometry",
  "lattice_angstrom": [[-0.5971, 2.1992, 4.6585], [-3.8854, -2.7165, -2.1022], [1.8263, -4.4010, 2.3117]],
  "species": ["Pd", "K", "K", "C", "C"],
  "fractional_positions": [[0.0000, 0.0000, 0.0000], [0.3333, 0.6667, 0.2783], [0.6667, 0.3333, 0.7217], [0.0000, 0.0000, 0.3802], [0.0000, 0.0000, 0.6198]],
  "energy_ev_per_cell": -25.824
}

4.
{
  "formula": "K2PtC2",
  "functional": "GGA-PBE",
  "state": "optimized geometry",
  "lattice_angstrom": [[-2.5909, -4.4876, 0.0000], [-2.5909, 4.4876, 0.0000], [0.0000, 0.0000, -5.2436]],
  "species": ["C", "C", "K", "K", "Pt"],
  "fractional_positions": [[0.0000, 0.0000, 0.6218], [0.0000, 0.0000, 0.3782], [0.3333, 0.6667, 0.7245], [0.6667, 0.3333, 0.2755], [0.0000, 0.0000, 0.0000]],
  "energy_ev_per_cell": -27.203
}

5.
{
  "formula": "LiLaC2O6",
  "functional": "GGA-PBE",
  "state": "optimized geometry",
  "lattice_angstrom": [[3.4820, 3.9543, 3.7721], [3.4820, -3.9543, 3.7721], [7.0111, 0.0000, -0.9110]],
  "species": ["O", "O", "O", "O", "O", "O", "O", "O", "O", "O", "O", "O", "C", "C", "C", "C", "Li", "Li", "La", "La"],
  "fractional_positions": [[0.5450, 0.2089, 0.5620], [0.6178, 0.7893, 0.9796], [0.7893, 0.6178, 0.4796], [0.2031, 0.0359, 0.8043], [0.3822, 0.2107, 0.0204], [0.9641, 0.7969, 0.6957], [0.2089, 0.5450, 0.0620], [0.0359, 0.2031, 0.3043], [0.4550, 0.7911, 0.4380], [0.7911, 0.4550, 0.9380], [0.7969, 0.9641, 0.1957], [0.2107, 0.3822, 0.5204], [0.6760, 0.7896, 0.3714], [0.3240, 0.2104, 0.6286], [0.7896, 0.6760, 0.8714], [0.2104, 0.3240, 0.1286], [0.7497, 0.2503, 0.2500], [0.2503, 0.7497, 0.7500], [0.1964, 0.8036, 0.2500], [0.8036, 0.1964, 0.7500]],
  "energy_mp2020_ev_per_atom": -8.10,
  "energy_ev_per_cell": -153.670
}

6.
{
  "formula": "LaLuC3",
  "functional": "GGA-PBE",
  "state": "optimized geometry",
  "lattice_angstrom": [[0.9024, -6.1589, 3.7948], [-1.3453, 5.5050, 4.5861], [-5.6155, -0.7711, -4.5846]],
  "species": ["C", "C", "C", "C", "C", "C", "C", "C", "C", "C", "C", "C", "La", "La", "La", "La", "Lu", "Lu", "Lu", "Lu"],
  "fractional_positions": [[0.2500, 0.2201, 0.9701], [0.6890, 0.7500, 0.4390], [0.9701, 0.2500, 0.2201], [0.7500, 0.2799, 0.5299], [0.7500, 0.4390, 0.6890], [0.0610, 0.8110, 0.2500], [0.2799, 0.5299, 0.7500], [0.4390, 0.6890, 0.7500], [0.5299, 0.7500, 0.2799], [0.2201, 0.9701, 0.2500], [0.8110, 0.2500, 0.0610], [0.2500, 0.0610, 0.8110], [0.0000, 0.6110, 0.5000], [0.8890, 0.8890, 0.8890], [0.5000, 0.0000, 0.6110], [0.6110, 0.5000, 0.0000], [0.0000, 0.0997, 0.5000], [0.4003, 0.4003, 0.4003], [0.5000, 0.0000, 0.0997], [0.0997, 0.5000, 0.0000]],
  "magmom_total_mub_per_cell": 0.016,
  "energy_ev_per_cell": -151.581
}

7.
{
  "formula": "LaMg6C",
  "functional": "GGA-PBE",
  "state": "optimized geometry",
  "lattice_angstrom": [[4.4937, 3.1023, 5.0549], [-6.9389, 1.1777, -2.4154], [-1.6370, -2.9490, 3.2651]],
  "species": ["Mg", "Mg", "Mg", "Mg", "Mg", "Mg", "C", "La"],
  "fractional_positions": [[0.7931, 0.7023, 0.5000], [0.2154, 0.7846, 0.0000], [0.1832, 0.3404, 0.0000], [0.6596, 0.8168, 0.0000], [0.6390, 0.3610, 0.0000], [0.2977, 0.2069, 0.5000], [0.4080, 0.5920, 0.5000], [0.8040, 0.1960, 0.5000]],
  "e_above_lowest_polymorph_mev_per_atom": 0,
  "energy_ev_per_cell": -20.836
}

8.
{
  "formula": "LaMg6C",
  "functional": "GGA-PBE",
  "state": "optimized geometry",
  "lattice_angstrom": [[4.5839, 0.0000, 0.0000], [0.0000, 6.8056, 0.0000], [0.0000, 0.0000, 11.6648]],
  "species": ["Mg", "Mg", "Mg", "Mg", "Mg", "Mg", "Mg", "Mg", "Mg", "Mg", "Mg", "Mg", "La", "La", "C", "C"],
  "fractional_positions": [[0.0000, 0.0000, 0.3346], [0.5000, 0.7719, 0.4255], [0.5000, 0.2281, 0.4255], [0.0000, 0.7405, 0.0780], [0.0000, 0.2405, 0.5780], [0.5000, 0.2719, 0.9255], [0.0000, 0.7595, 0.5780], [0.5000, 0.0000, 0.1676], [0.0000, 0.5000, 0.8346], [0.5000, 0.7281, 0.9255], [0.0000, 0.2595, 0.0780], [0.5000, 0.5000, 0.6676], [0.0000, 0.5000, 0.3028], [0.0000, 0.0000, 0.8028], [0.5000, 0.5000, 0.1881], [0.5000, 0.0000, 0.6881]],
  "magmom_total_mub_per_cell": 0.001,
  "e_above_lowest_polymorph_mev_per_atom": 104,
  "energy_ev_per_cell": -40.013
}